Record 1
# ZnS GGA-PBE relaxed
# Crystal system   triclinic
# Calculated total energy   -0.1121 hartree per atom
# Magnetization   0.000 μB per atom
data_ZnS
_cell_length_a 12.896
_cell_length_b 13.694
_cell_length_c 13.747
_cell_angle_alpha 86.20
_cell_angle_beta 89.23
_cell_angle_gamma 86.84
_symmetry_space_group_name_H-M 'P 1'
_symmetry_Int_Tables_number 1
_symmetry_space_group_name_Hall 'P 1'
loop_
_atom_site_label
_atom_site_type_symbol
_atom_site_fract_x
_atom_site_fract_y
_atom_site_fract_z
Zn1 Zn 0.000 0.000 0.000
Zn2 Zn 0.003 0.830 0.775
Zn3 Zn 0.079 0.072 0.475
Zn4 Zn 0.086 0.483 0.485
Zn5 Zn 0.088 0.315 0.684
Zn6 Zn 0.140 0.251 0.337
Zn7 Zn 0.142 0.517 0.857
Zn8 Zn 0.157 0.193 0.937
Zn9 Zn 0.171 0.650 0.311
Zn10 Zn 0.193 0.038 0.168
Zn11 Zn 0.205 0.580 0.014
Zn12 Zn 0.258 0.901 0.614
Zn13 Zn 0.263 0.821 0.904
Zn14 Zn 0.284 0.677 0.686
Zn15 Zn 0.297 0.788 0.162
Zn16 Zn 0.305 0.307 0.516
Zn17 Zn 0.334 0.041 0.379
Zn18 Zn 0.356 0.074 0.716
Zn19 Zn 0.417 0.319 0.890
Zn20 Zn 0.425 0.309 0.710
Zn21 Zn 0.442 0.052 0.966
Zn22 Zn 0.442 0.771 0.650
Zn23 Zn 0.463 0.618 0.272
Zn24 Zn 0.513 0.119 0.212
Zn25 Zn 0.551 0.439 0.537
Zn26 Zn 0.578 0.231 0.837
Zn27 Zn 0.592 0.179 0.449
Zn28 Zn 0.628 0.249 0.017
Zn29 Zn 0.637 0.538 0.066
Zn30 Zn 0.668 0.996 0.783
Zn31 Zn 0.684 0.670 0.519
Zn32 Zn 0.714 0.632 0.799
Zn33 Zn 0.722 0.111 0.923
Zn34 Zn 0.746 0.152 0.159
Zn35 Zn 0.747 0.493 0.297
Zn36 Zn 0.752 0.790 0.264
Zn37 Zn 0.765 0.418 0.878
Zn38 Zn 0.783 0.839 0.618
Zn39 Zn 0.790 0.328 0.059
Zn40 Zn 0.799 0.242 0.292
Zn41 Zn 0.799 0.929 0.897
Zn42 Zn 0.814 0.671 0.061
Zn43 Zn 0.849 0.874 0.138
Zn44 Zn 0.883 0.072 0.698
Zn45 Zn 0.897 0.218 0.492
Zn46 Zn 0.915 0.688 0.405
Zn47 Zn 0.927 0.322 0.914
Zn48 Zn 0.943 0.541 0.137
Zn49 Zn 0.979 0.590 0.957
Zn50 Zn 0.984 0.584 0.678
S1 S 0.010 0.154 0.609
S2 S 0.032 0.846 0.085
S3 S 0.073 0.128 0.067
S4 S 0.078 0.652 0.453
S5 S 0.095 0.336 0.855
S6 S 0.105 0.535 0.217
S7 S 0.129 0.874 0.202
S8 S 0.163 0.556 0.692
S9 S 0.188 0.817 0.755
S10 S 0.202 0.952 0.460
S11 S 0.206 0.386 0.401
S12 S 0.223 0.464 0.141
S13 S 0.224 0.071 0.838
S14 S 0.263 0.154 0.263
S15 S 0.263 0.237 0.665
S16 S 0.280 0.977 0.953
S17 S 0.317 0.708 0.019
S18 S 0.327 0.715 0.319
S19 S 0.339 0.475 0.890
S20 S 0.360 0.207 0.013
S21 S 0.369 0.943 0.181
S22 S 0.412 0.557 0.778
S23 S 0.413 0.479 0.649
S24 S 0.422 0.949 0.622
S25 S 0.466 0.462 0.238
S26 S 0.468 0.260 0.109
S27 S 0.485 0.287 0.540
S28 S 0.507 0.076 0.808
S29 S 0.510 0.982 0.113
S30 S 0.517 0.060 0.372
S31 S 0.586 0.734 0.221
S32 S 0.621 0.431 0.201
S33 S 0.623 0.522 0.904
S34 S 0.629 0.705 0.080
S35 S 0.640 0.730 0.670
S36 S 0.650 0.535 0.445
S37 S 0.724 0.305 0.756
S38 S 0.735 0.272 0.447
S39 S 0.743 0.005 0.627
S40 S 0.776 0.793 0.441
S41 S 0.815 0.035 0.057
S42 S 0.836 0.199 0.809
S43 S 0.849 0.624 0.266
S44 S 0.869 0.382 0.197
S45 S 0.873 0.774 0.936
S46 S 0.876 0.551 0.816
S47 S 0.941 0.758 0.647
S48 S 0.967 0.983 0.832
S49 S 0.972 0.423 0.597
S50 S 0.991 0.168 0.352

Record 2
# ZnS GGA-PBE relaxed
# Crystal system   trigonal
# Calculated total energy   -0.1289 hartree per atom
# Maximum piezoelectric response   0.11 C/m²
data_ZnS
_cell_length_a 3.8522
_cell_length_b 3.8522
_cell_length_c 25.2172
_cell_angle_alpha 90.00
_cell_angle_beta 90.00
_cell_angle_gamma 120.00
_symmetry_space_group_name_H-M 'P 3 m 1'
_symmetry_Int_Tables_number 156
_symmetry_space_group_name_Hall 'P 3 -2"'
loop_
_atom_site_label
_atom_site_type_symbol
_atom_site_fract_x
_atom_site_fract_y
_atom_site_fract_z
Zn1 Zn 0.0000 0.0000 0.0000
Zn2 Zn 0.0000 0.0000 0.2500
Zn3 Zn 0.0000 0.0000 0.5000
Zn4 Zn 0.3333 0.6667 0.6250
Zn5 Zn 0.3333 0.6667 0.8750
Zn6 Zn 0.6667 0.3333 0.1250
Zn7 Zn 0.6667 0.3333 0.3750
Zn8 Zn 0.6667 0.3333 0.7500
S1 S 0.0000 0.0000 0.0937
S2 S 0.0000 0.0000 0.3437
S3 S 0.0000 0.0000 0.5937
S4 S 0.3333 0.6667 0.7187
S5 S 0.3333 0.6667 0.9687
S6 S 0.6667 0.3333 0.2187
S7 S 0.6667 0.3333 0.4688
S8 S 0.6667 0.3333 0.8438

Record 3
# ZnS GGA-PBE relaxed
# Crystal system   trigonal
# Calculated total energy   -0.1290 hartree per atom
data_ZnS
_cell_length_a 3.8510
_cell_length_b 3.8510
_cell_length_c 81.8287
_cell_angle_alpha 90.00
_cell_angle_beta 90.00
_cell_angle_gamma 120.00
_symmetry_space_group_name_H-M 'P 3 m 1'
_symmetry_Int_Tables_number 156
_symmetry_space_group_name_Hall 'P 3 -2"'
loop_
_atom_site_label
_atom_site_type_symbol
_atom_site_fract_x
_atom_site_fract_y
_atom_site_fract_z
Zn1 Zn 0.0000 0.0000 0.0000
Zn2 Zn 0.0000 0.0000 0.0769
Zn3 Zn 0.0000 0.0000 0.1923
Zn4 Zn 0.0000 0.0000 0.3077
Zn5 Zn 0.0000 0.0000 0.4231
Zn6 Zn 0.0000 0.0000 0.5385
Zn7 Zn 0.0000 0.0000 0.6538
Zn8 Zn 0.0000 0.0000 0.7308
Zn9 Zn 0.0000 0.0000 0.8462
Zn10 Zn 0.3333 0.6667 0.1154
Zn11 Zn 0.3333 0.6667 0.2308
Zn12 Zn 0.3333 0.6667 0.3462
Zn13 Zn 0.3333 0.6667 0.4616
Zn14 Zn 0.3333 0.6667 0.5769
Zn15 Zn 0.3333 0.6667 0.6923
Zn16 Zn 0.3333 0.6667 0.8077
Zn17 Zn 0.3333 0.6667 0.8846
Zn18 Zn 0.3333 0.6667 0.9616
Zn19 Zn 0.6667 0.3333 0.0385
Zn20 Zn 0.6667 0.3333 0.1539
Zn21 Zn 0.6667 0.3333 0.2692
Zn22 Zn 0.6667 0.3333 0.3846
Zn23 Zn 0.6667 0.3333 0.5000
Zn24 Zn 0.6667 0.3333 0.6154
Zn25 Zn 0.6667 0.3333 0.7692
Zn26 Zn 0.6667 0.3333 0.9231
S1 S 0.0000 0.0000 0.0288
S2 S 0.0000 0.0000 0.1058
S3 S 0.0000 0.0000 0.2212
S4 S 0.0000 0.0000 0.3365
S5 S 0.0000 0.0000 0.4519
S6 S 0.0000 0.0000 0.5673
S7 S 0.0000 0.0000 0.6827
S8 S 0.0000 0.0000 0.7596
S9 S 0.0000 0.0000 0.8750
S10 S 0.3333 0.6667 0.1442
S11 S 0.3333 0.6667 0.2596
S12 S 0.3333 0.6667 0.3750
S13 S 0.3333 0.6667 0.4904
S14 S 0.3333 0.6667 0.6058
S15 S 0.3333 0.6667 0.7212
S16 S 0.3333 0.6667 0.8365
S17 S 0.3333 0.6667 0.9134
S18 S 0.3333 0.6667 0.9904
S19 S 0.6667 0.3333 0.0673
S20 S 0.6667 0.3333 0.1827
S21 S 0.6667 0.3333 0.2981
S22 S 0.6667 0.3333 0.4135
S23 S 0.6667 0.3333 0.5288
S24 S 0.6667 0.3333 0.6442
S25 S 0.6667 0.3333 0.7981
S26 S 0.6667 0.3333 0.9519

Calculated DFT formation energy in order - -603, -1061, -1062 meV per atom